Entry 1:
Material: Mg2P
Method: DFT, GGA-PBE
State: optimized geometry

Geometry as CIF:
```
data_Mg2P
_chemical_formula_sum 'Mg4 P2'
_space_group_name_H-M_alt 'P 1'
_space_group_IT_number 1
_space_group_name_Hall 'P 1'
_cell_length_a 6.634
_cell_length_b 6.634
_cell_length_c 5.466
_cell_angle_alpha 114.09
_cell_angle_beta 114.09
_cell_angle_gamma 32.78
loop_
_atom_site_label
_atom_site_type_symbol
_atom_site_fract_x
_atom_site_fract_y
_atom_site_fract_z
Mg1 Mg 0.002 0.002 0.244
Mg2 Mg 0.296 0.296 0.295
Mg3 Mg 0.704 0.704 0.705
Mg4 Mg 0.998 0.998 0.756
P1 P 0.357 0.357 0.857
P2 P 0.643 0.643 0.143
```

Computed properties:
**Spin magnetization**: 0.000 μB/f.u.
**Energy above the most stable polymorph in this dataset**: 0.000 eV per atom

Entry 2:
Material: Mg3P2
Method: DFT, GGA-PBE
State: optimized geometry

Geometry as CIF:
```
data_Mg3P2
_chemical_formula_sum 'Mg6 P4'
_space_group_name_H-M_alt 'P 1'
_space_group_IT_number 1
_space_group_name_Hall 'P 1'
_cell_length_a 6.024
_cell_length_b 6.024
_cell_length_c 6.024
_cell_angle_alpha 90.00
_cell_angle_beta 90.00
_cell_angle_gamma 90.00
loop_
_atom_site_label
_atom_site_type_symbol
_atom_site_fract_x
_atom_site_fract_y
_atom_site_fract_z
Mg1 Mg 0.250 0.250 0.750
Mg2 Mg 0.250 0.750 0.250
Mg3 Mg 0.250 0.750 0.750
Mg4 Mg 0.750 0.250 0.250
Mg5 Mg 0.750 0.250 0.750
Mg6 Mg 0.750 0.750 0.250
P1 P 0.000 0.000 0.000
P2 P 0.000 0.500 0.500
P3 P 0.500 0.000 0.500
P4 P 0.500 0.500 0.000
```

Computed properties:
**Spin magnetization**: 0.000 μB/f.u.

Entry 3:
Material: MgPPd5
Method: DFT, GGA-PBE
State: optimized geometry

Geometry as CIF:
```
data_MgPPd5
_chemical_formula_sum 'Mg1 P1 Pd5'
_space_group_name_H-M_alt 'P 1'
_space_group_IT_number 1
_space_group_name_Hall 'P 1'
_cell_length_a 3.947
_cell_length_b 3.947
_cell_length_c 6.991
_cell_angle_alpha 90.00
_cell_angle_beta 90.00
_cell_angle_gamma 90.00
loop_
_atom_site_label
_atom_site_type_symbol
_atom_site_fract_x
_atom_site_fract_y
_atom_site_fract_z
Mg1 Mg 0.000 0.000 0.000
P1 P 0.500 0.500 0.500
Pd1 Pd 0.000 0.500 0.297
Pd2 Pd 0.000 0.500 0.703
Pd3 Pd 0.500 0.000 0.297
Pd4 Pd 0.500 0.000 0.703
Pd5 Pd 0.500 0.500 0.000
```

Entry 4:
Material: MgPPt5
Method: DFT, GGA-PBE
State: optimized geometry

Geometry as CIF:
```
data_MgPPt5
_chemical_formula_sum 'Mg1 P1 Pt5'
_space_group_name_H-M_alt 'P 1'
_space_group_IT_number 1
_space_group_name_Hall 'P 1'
_cell_length_a 3.946
_cell_length_b 3.946
_cell_length_c 7.018
_cell_angle_alpha 90.00
_cell_angle_beta 90.00
_cell_angle_gamma 90.00
loop_
_atom_site_label
_atom_site_type_symbol
_atom_site_fract_x
_atom_site_fract_y
_atom_site_fract_z
Mg1 Mg 0.000 0.000 0.000
P1 P 0.500 0.500 0.500
Pt1 Pt 0.000 0.500 0.292
Pt2 Pt 0.000 0.500 0.708
Pt3 Pt 0.500 0.000 0.292
Pt4 Pt 0.500 0.000 0.708
Pt5 Pt 0.500 0.500 0.000
```

Entry 5:
Material: MgTi2Tl2P2S10
Method: DFT, GGA-PBE
State: optimized geometry

Geometry as CIF:
```
data_MgTi2Tl2P2S10
_chemical_formula_sum 'Mg1 Ti2 Tl2 P2 S10'
_space_group_name_H-M_alt 'P 1'
_space_group_IT_number 1
_space_group_name_Hall 'P 1'
_cell_length_a 6.621
_cell_length_b 7.067
_cell_length_c 10.145
_cell_angle_alpha 109.87
_cell_angle_beta 103.48
_cell_angle_gamma 90.09
loop_
_atom_site_label
_atom_site_type_symbol
_atom_site_fract_x
_atom_site_fract_y
_atom_site_fract_z
Mg1 Mg 0.000 0.000 0.000
Ti1 Ti 0.500 0.074 0.001
Ti2 Ti 0.501 0.640 0.002
Tl1 Tl 0.288 0.625 0.549
Tl2 Tl 0.714 0.073 0.452
P1 P 0.285 0.237 0.737
P2 P 0.716 0.495 0.266
S1 S 0.165 0.507 0.819
S2 S 0.171 0.010 0.803
S3 S 0.235 0.131 0.522
S4 S 0.330 0.921 0.129
S5 S 0.405 0.433 0.153
S6 S 0.596 0.286 0.850
S7 S 0.670 0.795 0.873
S8 S 0.767 0.594 0.481
S9 S 0.829 0.204 0.197
S10 S 0.835 0.689 0.187
```

Computed properties:
**Spin magnetization**: 2.003 μB/f.u.
**Energy above the most stable polymorph in this dataset**: 0.000 eV per atom

Entry 6:
Material: MgTi2Tl2P2S10
Method: DFT, GGA-PBE
State: optimized geometry

Geometry as CIF:
```
data_MgTi2Tl2P2S10
_chemical_formula_sum 'Mg1 Ti2 Tl2 P2 S10'
_space_group_name_H-M_alt 'P 1'
_space_group_IT_number 1
_space_group_name_Hall 'P 1'
_cell_length_a 6.532
_cell_length_b 7.200
_cell_length_c 9.743
_cell_angle_alpha 110.19
_cell_angle_beta 98.13
_cell_angle_gamma 90.29
loop_
_atom_site_label
_atom_site_type_symbol
_atom_site_fract_x
_atom_site_fract_y
_atom_site_fract_z
Mg1 Mg 0.000 0.000 0.000
Ti1 Ti 0.499 0.708 0.997
Ti2 Ti 0.501 0.292 0.003
Tl1 Tl 0.295 0.289 0.566
Tl2 Tl 0.705 0.711 0.434
P1 P 0.280 0.879 0.739
P2 P 0.720 0.121 0.261
S1 S 0.153 0.695 0.836
S2 S 0.154 0.153 0.835
S3 S 0.235 0.778 0.519
S4 S 0.356 0.568 0.149
S5 S 0.408 0.079 0.169
S6 S 0.592 0.921 0.831
S7 S 0.644 0.432 0.851
S8 S 0.765 0.222 0.481
S9 S 0.846 0.847 0.165
S10 S 0.847 0.305 0.164
```

Computed properties:
**Spin magnetization**: 2.009 μB/f.u.
**Energy above the most stable polymorph in this dataset**: 0.011 eV per atom

Entry 7:
Material: MgTi2Tl2P2S10
Method: DFT, GGA-PBE
State: optimized geometry

Geometry as CIF:
```
data_MgTi2Tl2P2S10
_chemical_formula_sum 'Mg1 Ti2 Tl2 P2 S10'
_space_group_name_H-M_alt 'P 1'
_space_group_IT_number 1
_space_group_name_Hall 'P 1'
_cell_length_a 6.674
_cell_length_b 7.197
_cell_length_c 9.557
_cell_angle_alpha 107.42
_cell_angle_beta 100.78
_cell_angle_gamma 90.99
loop_
_atom_site_label
_atom_site_type_symbol
_atom_site_fract_x
_atom_site_fract_y
_atom_site_fract_z
Mg1 Mg 0.000 0.000 0.000
Ti1 Ti 0.291 0.440 0.727
Ti2 Ti 0.291 0.865 0.725
Tl1 Tl 0.105 0.491 0.325
Tl2 Tl 0.532 0.827 0.193
P1 P 0.081 0.049 0.473
P2 P 0.514 0.274 0.014
S1 S 0.037 0.918 0.241
S2 S 0.134 0.706 0.869
S3 S 0.202 0.217 0.905
S4 S 0.387 0.095 0.576
S5 S 0.455 0.603 0.599
S6 S 0.566 0.360 0.235
S7 S 0.617 0.468 0.920
S8 S 0.621 0.999 0.924
S9 S 0.959 0.847 0.555
S10 S 0.962 0.313 0.551
```

Computed properties:
**Spin magnetization**: 2.012 μB/f.u.
**Energy above the most stable polymorph in this dataset**: 0.022 eV per atom

Entry 8:
Material: MgSiP2
Method: DFT, GGA-PBE
State: optimized geometry

Geometry as CIF:
```
data_MgSiP2
_chemical_formula_sum 'Mg1 Si1 P2'
_space_group_name_H-M_alt 'P 1'
_space_group_IT_number 1
_space_group_name_Hall 'P 1'
_cell_length_a 4.498
_cell_length_b 4.498
_cell_length_c 4.498
_cell_angle_alpha 60.00
_cell_angle_beta 60.00
_cell_angle_gamma 60.00
loop_
_atom_site_label
_atom_site_type_symbol
_atom_site_fract_x
_atom_site_fract_y
_atom_site_fract_z
Mg1 Mg 0.000 0.000 0.000
Si1 Si 0.500 0.500 0.500
P1 P 0.250 0.250 0.250
P2 P 0.750 0.750 0.750
```

Computed properties:
**Spin magnetization**: 0.001 μB/f.u.
**Energy above the most stable polymorph in this dataset**: 0.699 eV per atom

Entry 9:
Material: MgSiP2
Method: DFT, GGA-PBE
State: optimized geometry

Geometry as CIF:
```
data_MgSiP2
_chemical_formula_sum 'Mg2 Si2 P4'
_space_group_name_H-M_alt 'P 1'
_space_group_IT_number 1
_space_group_name_Hall 'P 1'
_cell_length_a 6.541
_cell_length_b 6.541
_cell_length_c 6.541
_cell_angle_alpha 127.85
_cell_angle_beta 127.85
_cell_angle_gamma 76.87
loop_
_atom_site_label
_atom_site_type_symbol
_atom_site_fract_x
_atom_site_fract_y
_atom_site_fract_z
Mg1 Mg 0.000 0.000 0.000
Mg2 Mg 0.750 0.250 0.500
Si1 Si 0.250 0.750 0.500
Si2 Si 0.500 0.500 0.000
P1 P 0.168 0.625 0.043
P2 P 0.375 0.418 0.543
P3 P 0.582 0.125 0.957
P4 P 0.875 0.832 0.457
```

Computed properties:
**Maximum piezoelectric response**: 0.316 C/m2
**Energy above the most stable polymorph in this dataset**: 0.000 eV per atom

Entry 10:
Material: Mg2ZnP2
Method: DFT, GGA-PBE
State: optimized geometry

Geometry as CIF:
```
data_Mg2ZnP2
_chemical_formula_sum 'Mg2 Zn1 P2'
_space_group_name_H-M_alt 'P 1'
_space_group_IT_number 1
_space_group_name_Hall 'P 1'
_cell_length_a 4.043
_cell_length_b 4.043
_cell_length_c 6.553
_cell_angle_alpha 90.00
_cell_angle_beta 90.00
_cell_angle_gamma 120.00
loop_
_atom_site_label
_atom_site_type_symbol
_atom_site_fract_x
_atom_site_fract_y
_atom_site_fract_z
Mg1 Mg 0.000 0.000 0.000
Mg2 Mg 0.333 0.667 0.640
Zn1 Zn 0.667 0.333 0.274
P1 P 0.000 0.000 0.394
P2 P 0.667 0.333 0.867
```

Entry 11:
Material: Mg3Pa
Method: DFT, GGA-PBE
State: optimized geometry

Geometry as CIF:
```
data_Mg3Pa
_chemical_formula_sum 'Mg3 Pa1'
_space_group_name_H-M_alt 'P 1'
_space_group_IT_number 1
_space_group_name_Hall 'P 1'
_cell_length_a 5.137
_cell_length_b 5.137
_cell_length_c 5.137
_cell_angle_alpha 60.00
_cell_angle_beta 60.00
_cell_angle_gamma 60.00
loop_
_atom_site_label
_atom_site_type_symbol
_atom_site_fract_x
_atom_site_fract_y
_atom_site_fract_z
Mg1 Mg 0.000 0.000 0.000
Mg2 Mg 0.250 0.250 0.250
Mg3 Mg 0.750 0.750 0.750
Pa1 Pa 0.500 0.500 0.500
```

Computed properties:
**Spin magnetization**: 1.045 μB/f.u.
**Energy above the most stable polymorph in this dataset**: 0.009 eV per atom

Entry 12:
Material: Mg3Pa
Method: DFT, GGA-PBE
State: optimized geometry

Geometry as CIF:
```
data_Mg3Pa
_chemical_formula_sum 'Mg6 Pa2'
_space_group_name_H-M_alt 'P 1'
_space_group_IT_number 1
_space_group_name_Hall 'P 1'
_cell_length_a 6.627
_cell_length_b 6.627
_cell_length_c 5.146
_cell_angle_alpha 90.00
_cell_angle_beta 90.00
_cell_angle_gamma 120.00
loop_
_atom_site_label
_atom_site_type_symbol
_atom_site_fract_x
_atom_site_fract_y
_atom_site_fract_z
Mg1 Mg 0.164 0.327 0.250
Mg2 Mg 0.164 0.836 0.250
Mg3 Mg 0.327 0.164 0.750
Mg4 Mg 0.673 0.836 0.250
Mg5 Mg 0.836 0.164 0.750
Mg6 Mg 0.836 0.673 0.750
Pa1 Pa 0.333 0.667 0.750
Pa2 Pa 0.667 0.333 0.250
```

Computed properties:
**Spin magnetization**: 1.031 μB/f.u.
**Energy above the most stable polymorph in this dataset**: 0.000 eV per atom

Entry 13:
Material: MgPaRh2
Method: DFT, GGA-PBE
State: optimized geometry

Geometry as CIF:
```
data_MgPaRh2
_chemical_formula_sum 'Mg1 Pa1 Rh2'
_space_group_name_H-M_alt 'P 1'
_space_group_IT_number 1
_space_group_name_Hall 'P 1'
_cell_length_a 4.714
_cell_length_b 4.714
_cell_length_c 4.714
_cell_angle_alpha 60.00
_cell_angle_beta 60.00
_cell_angle_gamma 60.00
loop_
_atom_site_label
_atom_site_type_symbol
_atom_site_fract_x
_atom_site_fract_y
_atom_site_fract_z
Mg1 Mg 0.000 0.000 0.000
Pa1 Pa 0.500 0.500 0.500
Rh1 Rh 0.250 0.250 0.250
Rh2 Rh 0.750 0.750 0.750
```

Entry 14:
Material: MgPaTc2
Method: DFT, GGA-PBE
State: optimized geometry

Geometry as CIF:
```
data_MgPaTc2
_chemical_formula_sum 'Mg1 Pa1 Tc2'
_space_group_name_H-M_alt 'P 1'
_space_group_IT_number 1
_space_group_name_Hall 'P 1'
_cell_length_a 4.645
_cell_length_b 4.645
_cell_length_c 4.645
_cell_angle_alpha 60.00
_cell_angle_beta 60.00
_cell_angle_gamma 60.00
loop_
_atom_site_label
_atom_site_type_symbol
_atom_site_fract_x
_atom_site_fract_y
_atom_site_fract_z
Mg1 Mg 0.000 0.000 0.000
Pa1 Pa 0.500 0.500 0.500
Tc1 Tc 0.250 0.250 0.250
Tc2 Tc 0.750 0.750 0.750
```

Entry 15:
Material: MgPb5
Method: DFT, GGA-PBE
State: optimized geometry

Geometry as CIF:
```
data_MgPb5
_chemical_formula_sum 'Mg1 Pb5'
_space_group_name_H-M_alt 'P 1'
_space_group_IT_number 1
_space_group_name_Hall 'P 1'
_cell_length_a 6.798
_cell_length_b 6.798
_cell_length_c 6.798
_cell_angle_alpha 52.27
_cell_angle_beta 52.27
_cell_angle_gamma 52.27
loop_
_atom_site_label
_atom_site_type_symbol
_atom_site_fract_x
_atom_site_fract_y
_atom_site_fract_z
Mg1 Mg 0.000 0.000 0.000
Pb1 Pb 0.165 0.835 0.500
Pb2 Pb 0.335 0.335 0.335
Pb3 Pb 0.500 0.165 0.835
Pb4 Pb 0.665 0.665 0.665
Pb5 Pb 0.835 0.500 0.165
```

Computed properties:
**Energy above the most stable polymorph in this dataset**: 0.007 eV per atom

Entry 16:
Material: MgPb5
Method: DFT, GGA-PBE
State: optimized geometry

Geometry as CIF:
```
data_MgPb5
_chemical_formula_sum 'Mg1 Pb5'
_space_group_name_H-M_alt 'P 1'
_space_group_IT_number 1
_space_group_name_Hall 'P 1'
_cell_length_a 6.776
_cell_length_b 6.776
_cell_length_c 8.106
_cell_angle_alpha 108.51
_cell_angle_beta 108.51
_cell_angle_gamma 31.49
loop_
_atom_site_label
_atom_site_type_symbol
_atom_site_fract_x
_atom_site_fract_y
_atom_site_fract_z
Mg1 Mg 0.000 0.000 0.000
Pb1 Pb 0.282 0.282 0.054
Pb2 Pb 0.338 0.338 0.671
Pb3 Pb 0.607 0.607 0.729
Pb4 Pb 0.662 0.662 0.325
Pb5 Pb 0.946 0.946 0.386
```

Computed properties:
**Spin magnetization**: 0.004 μB/f.u.
**Energy above the most stable polymorph in this dataset**: 0.000 eV per atom

Entry 17:
Material: Mg3Pb
Method: DFT, GGA-PBE
State: optimized geometry

Geometry as CIF:
```
data_Mg3Pb
_chemical_formula_sum 'Mg6 Pb2'
_space_group_name_H-M_alt 'P 1'
_space_group_IT_number 1
_space_group_name_Hall 'P 1'
_cell_length_a 6.513
_cell_length_b 6.513
_cell_length_c 5.273
_cell_angle_alpha 90.00
_cell_angle_beta 90.00
_cell_angle_gamma 120.00
loop_
_atom_site_label
_atom_site_type_symbol
_atom_site_fract_x
_atom_site_fract_y
_atom_site_fract_z
Mg1 Mg 0.163 0.326 0.250
Mg2 Mg 0.163 0.837 0.250
Mg3 Mg 0.326 0.163 0.750
Mg4 Mg 0.674 0.837 0.250
Mg5 Mg 0.837 0.163 0.750
Mg6 Mg 0.837 0.674 0.750
Pb1 Pb 0.333 0.667 0.750
Pb2 Pb 0.667 0.333 0.250
```

Entry 18:
Material: Mg5Pb
Method: DFT, GGA-PBE
State: optimized geometry

Geometry as CIF:
```
data_Mg5Pb
_chemical_formula_sum 'Mg5 Pb1'
_space_group_name_H-M_alt 'P 1'
_space_group_IT_number 1
_space_group_name_Hall 'P 1'
_cell_length_a 6.195
_cell_length_b 6.195
_cell_length_c 6.195
_cell_angle_alpha 54.10
_cell_angle_beta 54.10
_cell_angle_gamma 54.10
loop_
_atom_site_label
_atom_site_type_symbol
_atom_site_fract_x
_atom_site_fract_y
_atom_site_fract_z
Mg1 Mg 0.000 0.668 0.332
Mg2 Mg 0.167 0.167 0.167
Mg3 Mg 0.332 0.000 0.668
Mg4 Mg 0.668 0.332 0.000
Mg5 Mg 0.833 0.833 0.833
Pb1 Pb 0.500 0.500 0.500
```

Computed properties:
**Energy above the most stable polymorph in this dataset**: 0.000 eV per atom

Entry 19:
Material: Mg5Pb
Method: DFT, GGA-PBE
State: optimized geometry

Geometry as CIF:
```
data_Mg5Pb
_chemical_formula_sum 'Mg5 Pb1'
_space_group_name_H-M_alt 'P 1'
_space_group_IT_number 1
_space_group_name_Hall 'P 1'
_cell_length_a 5.226
_cell_length_b 8.484
_cell_length_c 8.484
_cell_angle_alpha 22.71
_cell_angle_beta 90.00
_cell_angle_gamma 90.00
loop_
_atom_site_label
_atom_site_type_symbol
_atom_site_fract_x
_atom_site_fract_y
_atom_site_fract_z
Mg1 Mg 0.000 0.000 0.000
Mg2 Mg 0.000 0.327 0.327
Mg3 Mg 0.000 0.663 0.663
Mg4 Mg 0.500 0.214 0.214
Mg5 Mg 0.500 0.553 0.553
Pb1 Pb 0.500 0.886 0.886
```

Computed properties:
**Energy above the most stable polymorph in this dataset**: 0.030 eV per atom

Entry 20:
Material: Mg3Pb
Method: DFT, GGA-PBE
State: optimized geometry

Geometry as CIF:
```
data_Mg3Pb
_chemical_formula_sum 'Mg3 Pb1'
_space_group_name_H-M_alt 'P 1'
_space_group_IT_number 1
_space_group_name_Hall 'P 1'
_cell_length_a 5.675
_cell_length_b 5.675
_cell_length_c 5.675
_cell_angle_alpha 132.55
_cell_angle_beta 132.55
_cell_angle_gamma 69.36
loop_
_atom_site_label
_atom_site_type_symbol
_atom_site_fract_x
_atom_site_fract_y
_atom_site_fract_z
Mg1 Mg 0.000 0.000 0.000
Mg2 Mg 0.250 0.750 0.500
Mg3 Mg 0.750 0.250 0.500
Pb1 Pb 0.500 0.500 0.000
```

no.,formation energy from the elements (kJ/mol of atoms)
1,-34
2,-46
3,-57
4,-56
5,-99
6,-98
7,-97
8,27
9,-41
10,-49
11,34
12,33
13,-61
14,-9
15,3
16,2
17,-4
18,-1
19,1
20,-3